CsMg6AlO8 (PBE, optimized geometry); symmetry = No. 123; V = 12.1 Å³/atom; energy of formation from the pure elements = -2249 meV per atom; final energy = -0.1937 Ha/atom
1.0
-0.858 -3.574 -2.879
3.614 -2.330 1.816
-5.365 -3.596 6.063
O Mg Cs Al
8 6 1 1
Cartesian
-1.191 -0.798 1.346
-4.174 -2.798 4.717
-0.875 -2.963 3.940
-3.111 -3.585 1.592
-0.168 -3.989 1.217
-0.429 -1.787 -1.439
-2.440 -5.511 3.784
1.807 -1.165 0.908
0.421 -2.094 2.475
-2.683 -1.798 3.031
-4.408 -4.454 3.057
-1.304 -4.750 2.500
-1.815 -2.716 0.127
-2.171 -3.832 5.404
1.378 -2.952 -0.531
0.000 0.000 0.000